Below is Ho3Ag4Sn4 after structural relaxation, with properties calculated at the GGA-PBE level.

Calculated values
Energy of formation = -0.465 eV/atom
Density = 9.00 g/cm3

Cell: 8.7949 8.7949 8.7949 Å, 149.87 130.24 59.27°
Last column: nearest neighbours and their distance in Å.
Fractional coordinates of all 11 atoms:
1 Ho 0.0000 0.0000 0.0000  6 Sn 3.20-3.29
2 Ho 0.6266 0.1266 0.5000  6 Ag 3.27-3.41, 6 Sn 3.33
3 Ho 0.3734 0.8734 0.5000  6 Ag 3.27-3.41, 6 Sn 3.33
4 Sn 0.7849 0.7849 0.0000  6 Ag 2.80-2.82
5 Sn 0.3028 0.5000 0.8028  2 Ag 2.74, 1 Sn 2.92
6 Sn 0.6972 0.5000 0.1972  2 Ag 2.74, 1 Sn 2.92
7 Sn 0.2151 0.2151 0.0000  6 Ag 2.80-2.82
8 Ag 0.9737 0.6719 0.3017  4 Sn 2.74-2.82, 1 Ag 2.93
9 Ag 0.3702 0.6719 0.6983  4 Sn 2.74-2.82, 1 Ag 2.93
10 Ag 0.6298 0.3281 0.3017  4 Sn 2.74-2.82, 1 Ag 2.93
11 Ag 0.0263 0.3281 0.6983  4 Sn 2.74-2.82, 1 Ag 2.93

Below is HoAgTe2 after structural relaxation, with properties calculated at the GGA-PBE level.

Calculated values
Maximum piezoelectric response = 0.69 C/m²
Energy of formation = -1.118 eV/atom
Density = 7.37 g/cm3

Cell: 4.7218 7.0980 7.0980 Å, 90.00 90.00 90.00°
Last column: nearest neighbours and their distance in Å.
Fractional coordinates of all 8 atoms:
1 Te 0.2909 0.7984 0.7016  2 Ag 2.90, 3 Ho 3.03-3.17
2 Te 0.2909 0.2016 0.2984  2 Ag 2.90, 3 Ho 3.03-3.17
3 Te 0.7091 0.2984 0.7984  2 Ag 2.90, 3 Ho 3.03-3.17
4 Te 0.7091 0.7016 0.2016  2 Ag 2.90, 3 Ho 3.03-3.17
5 Ho 0.8086 0.0000 0.5000  6 Te 3.03-3.17
6 Ho 0.1914 0.5000 0.0000  6 Te 3.03-3.17
7 Ag 0.0000 0.0000 0.0000  4 Te 2.90
8 Ag 0.0000 0.5000 0.5000  4 Te 2.90

Below is HoAgTe2 after structural relaxation, with properties calculated at the GGA-PBE level.

Calculated values
Energy of formation = -1.098 eV/atom
Density = 6.82 g/cm3

Cell: 4.5054 4.5054 7.3167 Å, 90.00 90.00 120.00°
Last column: nearest neighbours and their distance in Å.
Fractional coordinates of all 4 atoms:
1 Ho 0.6667 0.3333 0.9866  6 Te 3.06-3.16
2 Te 0.0000 0.0000 0.7669  1 Ag 2.79, 3 Ho 3.06
3 Te 0.3333 0.6667 0.2314  3 Ag 2.83, 3 Ho 3.16
4 Ag 0.0000 0.0000 0.3851  4 Te 2.79-2.83

Below is Ho2TlAg after structural relaxation, with properties calculated at the GGA-PBE level.

Calculated values
Energy of formation = -0.342 eV/atom
Density = 10.43 g/cm3

Cell: 5.2482 5.2482 5.2482 Å, 60.00 60.00 60.00°
Last column: nearest neighbours and their distance in Å.
Fractional coordinates of all 4 atoms:
1 Ag 0.5000 0.5000 0.5000  8 Ho 3.21
2 Ho 0.7500 0.7500 0.7500  4 Tl 3.21, 4 Ag 3.21
3 Ho 0.2500 0.2500 0.2500  4 Tl 3.21, 4 Ag 3.21
4 Tl 0.0000 0.0000 0.0000  8 Ho 3.21

Below is HoTmAg2 after structural relaxation, with properties calculated at the GGA-PBE level.

Calculated values
Energy of formation = -0.340 eV/atom
Density = 9.69 g/cm3

Cell: 5.1063 5.1063 5.1063 Å, 60.00 60.00 60.00°
Last column: nearest neighbours and their distance in Å.
Fractional coordinates of all 4 atoms:
1 Tm 0.0000 0.0000 0.0000  8 Ag 3.13
2 Ag 0.7500 0.7500 0.7500  4 Tm 3.13, 4 Ho 3.13
3 Ag 0.2500 0.2500 0.2500  4 Ho 3.13, 4 Tm 3.13
4 Ho 0.5000 0.5000 0.5000  8 Ag 3.13

Below is AgI2 after structural relaxation, with properties calculated at the GGA-PBE level.

Calculated values
Energy of formation = -0.303 eV/atom
Density = 5.15 g/cm3

Cell: 4.2857 4.2857 6.3548 Å, 90.00 90.00 90.00°
Last column: nearest neighbours and their distance in Å.
Fractional coordinates of all 3 atoms:
1 I 0.5000 0.0000 0.7778  2 Ag 2.78
2 I 0.0000 0.5000 0.2222  2 Ag 2.78
3 Ag 0.0000 0.0000 0.5000  4 I 2.78

Below is InAgI2 after structural relaxation, with properties calculated at the GGA-PBE level.

Calculated values
Energy of formation = -0.309 eV/atom
Density = 6.04 g/cm3

Cell: 5.7070 5.7070 4.0252 Å, 90.00 90.00 90.00°
Last column: nearest neighbours and their distance in Å.
Fractional coordinates of all 4 atoms:
1 In 0.5000 0.5000 0.5000  8 I 3.49
2 I 0.0000 0.5000 0.0000  4 In 3.49, 4 Ag 3.49
3 I 0.5000 0.0000 0.0000  4 In 3.49, 4 Ag 3.49
4 Ag 0.0000 0.0000 0.5000  8 I 3.49

Below is Rb2InAgI6 after structural relaxation, with properties calculated at the GGA-PBE level.

Calculated values
Energy of formation = -1.042 eV/atom
Density = 4.48 g/cm3

Cell: 8.4587 8.4587 8.4587 Å, 60.00 60.00 60.00°
Last column: nearest neighbours and their distance in Å.
Fractional coordinates of all 10 atoms:
1 I 0.2483 0.2483 0.7517  1 In 2.97, 1 Ag 3.01
2 I 0.2483 0.7517 0.2483  1 In 2.97, 1 Ag 3.01
3 I 0.7517 0.2483 0.7517  1 In 2.97, 1 Ag 3.01
4 I 0.7517 0.2483 0.2483  1 In 2.97, 1 Ag 3.01
5 I 0.7517 0.7517 0.2483  1 In 2.97, 1 Ag 3.01
6 I 0.2483 0.7517 0.7517  1 In 2.97, 1 Ag 3.01
7 Ag 0.5000 0.5000 0.5000  6 I 3.01
8 Rb 0.2500 0.2500 0.2500  12 I 4.23
9 Rb 0.7500 0.7500 0.7500  12 I 4.23
10 In 0.0000 0.0000 0.0000  6 I 2.97